(1)
PBE Na6TeP6O30, optimized geometry; calculated total energy = -472.18 eV for the cell shown; total moment = 18.000 μB/f.u.; space-group type = P6_3/m
1.0
-5.756 -9.970 0.000
-5.756 9.970 0.000
0.000 0.000 -11.507
P O Na Te
12 60 12 2
Direct
0.497 0.249 0.495
0.249 0.752 0.995
0.248 0.497 0.505
0.751 0.248 0.005
0.503 0.751 0.995
0.752 0.503 0.495
0.248 0.497 0.995
0.752 0.503 0.005
0.497 0.249 0.005
0.751 0.248 0.495
0.503 0.751 0.505
0.249 0.752 0.505
0.234 0.468 0.376
0.002 0.879 0.614
0.187 0.593 0.535
0.235 0.766 0.124
0.877 0.998 0.886
0.813 0.407 0.035
0.998 0.121 0.114
0.620 0.809 0.588
0.813 0.407 0.465
0.593 0.407 0.465
0.766 0.532 0.624
0.407 0.813 0.965
0.235 0.766 0.376
0.380 0.191 0.412
0.075 0.690 0.750
0.809 0.190 0.412
0.925 0.310 0.250
0.532 0.765 0.376
0.234 0.468 0.124
0.123 0.002 0.114
0.407 0.593 0.965
0.121 0.123 0.614
0.407 0.813 0.535
0.191 0.810 0.588
0.810 0.620 0.412
0.123 0.002 0.386
0.810 0.620 0.088
0.407 0.593 0.535
0.952 0.643 0.250
0.998 0.121 0.386
0.643 0.691 0.750
0.593 0.187 0.035
0.121 0.123 0.886
0.187 0.593 0.965
0.190 0.380 0.588
0.691 0.048 0.250
0.765 0.234 0.624
0.532 0.765 0.124
0.357 0.309 0.250
0.048 0.357 0.750
0.766 0.532 0.876
0.191 0.810 0.912
0.620 0.809 0.912
0.468 0.235 0.876
0.593 0.407 0.035
0.310 0.386 0.750
0.809 0.190 0.088
0.879 0.877 0.114
0.309 0.952 0.750
0.877 0.998 0.614
0.002 0.879 0.886
0.690 0.614 0.250
0.190 0.380 0.912
0.593 0.187 0.465
0.879 0.877 0.386
0.614 0.925 0.750
0.380 0.191 0.088
0.468 0.235 0.624
0.386 0.075 0.250
0.765 0.234 0.876
0.560 0.122 0.750
0.122 0.562 0.250
0.870 0.725 0.750
0.130 0.275 0.250
0.275 0.145 0.750
0.145 0.870 0.250
0.725 0.855 0.250
0.440 0.878 0.250
0.878 0.438 0.750
0.562 0.440 0.750
0.438 0.560 0.250
0.855 0.130 0.750
0.000 0.000 0.500
0.000 0.000 0.000

(2)
PBE Tm2Pd2Pb, optimized geometry; calculated total energy = -54.50 eV for the cell shown; space-group type = P4/mbm
1.0
7.927 0.000 0.000
0.000 7.927 0.000
0.000 0.000 3.528
Tm Pd Pb
4 4 2
Direct
0.831 0.669 0.500
0.669 0.169 0.500
0.331 0.831 0.500
0.169 0.331 0.500
0.126 0.626 0.000
0.626 0.874 0.000
0.874 0.374 0.000
0.374 0.126 0.000
0.500 0.500 0.000
0.000 0.000 0.000

(3)
PBE PmYCu2, optimized geometry; calculated total energy = -20.20 eV for the cell shown; space-group type = Fm-3m
1.0
0.000 3.528 3.528
3.528 0.000 3.528
3.528 3.528 0.000
Cu Y Pm
2 1 1
Direct
0.750 0.750 0.750
0.250 0.250 0.250
0.000 0.000 0.000
0.500 0.500 0.500

(4)
PBE Nd3B2N4, optimized geometry; calculated total energy = -72.68 eV for the cell shown; space-group type = Immm
1.0
1.959 1.731 5.977
4.359 4.853 -0.101
-6.081 -2.030 -1.210
Nd N B
3 4 2
Direct
0.000 0.000 0.000
0.702 0.202 0.500
0.298 0.798 0.500
0.875 0.619 0.256
0.637 0.381 0.256
0.363 0.619 0.744
0.125 0.381 0.744
0.357 0.500 0.857
0.643 0.500 0.143

(5)
PBE ZrSnH4NF7, optimized geometry; calculated total energy = -314.95 eV for the cell shown; total moment = 0.027 μB/f.u.; space-group type = Pmna
1.0
8.610 0.000 0.000
0.000 6.225 0.000
0.000 0.000 12.733
H F N Sn Zr
16 28 4 4 4
Direct
0.839 0.654 0.782
0.339 0.346 0.282
0.661 0.346 0.282
0.203 0.844 0.693
0.161 0.654 0.782
0.703 0.844 0.807
0.661 0.654 0.718
0.161 0.346 0.218
0.839 0.346 0.218
0.797 0.844 0.693
0.797 0.156 0.307
0.339 0.654 0.718
0.297 0.844 0.807
0.703 0.156 0.193
0.203 0.156 0.307
0.297 0.156 0.193
0.000 0.892 0.237
0.000 0.499 0.810
0.500 0.123 0.428
0.639 0.500 0.500
0.500 0.877 0.572
0.000 0.886 0.587
0.768 0.164 0.895
0.732 0.164 0.605
0.500 0.886 0.913
0.500 0.108 0.737
0.768 0.836 0.105
0.232 0.836 0.105
0.500 0.501 0.310
0.000 0.114 0.413
0.139 0.500 0.000
0.000 0.877 0.928
0.732 0.836 0.395
0.000 0.123 0.072
0.268 0.164 0.605
0.000 0.501 0.190
0.500 0.499 0.690
0.861 0.500 0.000
0.000 0.108 0.763
0.361 0.500 0.500
0.500 0.114 0.087
0.232 0.164 0.895
0.500 0.892 0.263
0.268 0.836 0.395
0.250 0.252 0.250
0.750 0.748 0.750
0.250 0.748 0.750
0.750 0.252 0.250
0.000 0.771 0.403
0.500 0.229 0.903
0.500 0.771 0.097
0.000 0.229 0.597
0.000 0.249 0.919
0.500 0.751 0.419
0.000 0.751 0.081
0.500 0.249 0.581

(6)
PBE Cu2BrCl, optimized geometry; calculated total energy = -12.20 eV for the cell shown; total moment = 0.000 μB/f.u.; space-group type = R-3m
1.0
6.142 -1.856 0.000
6.142 1.856 0.000
5.581 0.000 3.165
Br Cl Cu
1 1 2
Direct
0.000 0.000 0.000
0.500 0.500 0.500
0.752 0.752 0.752
0.248 0.248 0.248

(7)
PBE LaGe2, optimized geometry; calculated total energy = -32.50 eV for the cell shown; total moment = 0.000 μB/f.u.; space-group type = I4_1/amd
1.0
-2.160 2.160 7.841
2.160 -2.160 7.841
2.160 2.160 -7.841
Ge La
4 2
Direct
0.832 0.332 0.500
0.082 0.082 0.000
0.668 0.168 0.500
0.918 0.918 0.000
0.250 0.750 0.500
0.500 0.500 0.000

(8)
PBE LiY3, optimized geometry; calculated total energy = -20.53 eV for the cell shown; total moment = 0.000 μB/f.u.; space-group type = I4/mmm
1.0
-2.367 2.367 5.327
2.367 -2.367 5.327
2.367 2.367 -5.327
Li Y
1 3
Direct
0.000 0.000 0.000
0.750 0.250 0.500
0.500 0.500 0.000
0.250 0.750 0.500

no.,energy relative to the elements (meV per atom)
1,-1505
2,-845
3,-197
4,-1457
5,-2436
6,-283
7,-689
8,193